[1]
The following is a GGA-PBE calculation of an optimized crystal structure of TbGeRu, from the Materials Project database.

## Properties
Energy of formation from the pure elements ... -0.71 eV per atom
Volume ... 19.07 Å³/atom

Cell lengths 7.0830, 4.4558, 7.2499 Å; angles 90.00, 90.00, 90.00 degrees
With the nearest neighbours (Å) after each atom.
Sites, in units of the cell vectors:
Tb  0.0156  0.2500  0.1913  4 Ru 2.96-3.01, 6 Ge 3.06-3.29
Tb  0.4844  0.7500  0.6913  4 Ru 2.96-3.01, 6 Ge 3.06-3.29
Tb  0.5156  0.2500  0.3087  4 Ru 2.96-3.01, 6 Ge 3.06-3.29
Tb  0.9844  0.7500  0.8087  4 Ru 2.96-3.01, 6 Ge 3.06-3.29
Ge  0.2014  0.2500  0.6065  4 Ru 2.54-2.60
Ge  0.2986  0.7500  0.1065  4 Ru 2.54-2.60
Ge  0.7014  0.2500  0.8935  4 Ru 2.54-2.60
Ge  0.7986  0.7500  0.3935  4 Ru 2.54-2.60
Ru  0.1545  0.7500  0.4357  4 Ge 2.54-2.60
Ru  0.3455  0.2500  0.9357  4 Ge 2.54-2.60
Ru  0.6545  0.7500  0.0643  4 Ge 2.54-2.60
Ru  0.8455  0.2500  0.5643  4 Ge 2.54-2.60


[2]
The following is a GGA-PBE calculation of an optimized crystal structure of ThGe2Ru2, from the Materials Project database.

## Properties
Energy of formation from the pure elements ... -0.70 eV per atom
Volume ... 18.56 Å³/atom

Cell lengths 5.8567, 5.8567, 5.8567 Å; angles 136.85, 136.85, 62.68 degrees
With the nearest neighbours (Å) after each atom.
Sites, in units of the cell vectors:
Th  0.0000  0.0000  0.0000  8 Ru 3.30, 10 Ge 3.32-3.68
Ge  0.3675  0.3675  0.0000  4 Ru 2.45, 1 Ge 2.65
Ge  0.6325  0.6325  0.0000  4 Ru 2.45, 1 Ge 2.65
Ru  0.2500  0.7500  0.5000  4 Ge 2.45
Ru  0.7500  0.2500  0.5000  4 Ge 2.45


[3]
The following is a GGA-PBE calculation of an optimized crystal structure of TiGeRu, from the Materials Project database.

## Properties
Energy of formation from the pure elements ... -0.67 eV per atom
Total moment ... 0.000 μB per cell
Volume ... 15.25 Å³/atom

Cell lengths 7.5418, 7.5418, 7.5418 Å; angles 122.61, 81.14, 127.97 degrees
With the nearest neighbours (Å) after each atom.
Sites, in units of the cell vectors:
Ti  0.0016  0.2500  0.2516  5 Ge 2.68-2.74, 4 Ru 2.83-2.88
Ti  0.4224  0.3950  0.5273  5 Ge 2.67-2.68, 2 Ru 2.88
Ti  0.4218  0.8669  0.0548  5 Ge 2.71-2.94, 6 Ru 2.75-2.90
Ti  0.8121  0.3669  0.9452  5 Ge 2.71-2.94, 6 Ru 2.75-2.90
Ti  0.8677  0.8950  0.4727  5 Ge 2.67-2.68, 2 Ru 2.88
Ti  0.9984  0.7500  0.7484  5 Ge 2.68-2.74, 4 Ru 2.83-2.88
Ge  0.0884  0.4247  0.6714  3 Ru 2.51-2.53, 6 Ti 2.67-2.71
Ge  0.0884  0.9169  0.1637  3 Ru 2.51-2.53, 6 Ti 2.67-2.71
Ge  0.3785  0.1603  0.7182  6 Ru 2.48-2.53, 2 Ti 2.68-2.74
Ge  0.4421  0.6603  0.2818  6 Ru 2.48-2.53, 2 Ti 2.68-2.74
Ge  0.7533  0.4169  0.3286  3 Ru 2.51-2.53, 6 Ti 2.67-2.71
Ge  0.7533  0.9247  0.8363  3 Ru 2.51-2.53, 6 Ti 2.67-2.71
Ru  0.1663  0.3315  0.9115  4 Ge 2.48-2.52, 1 Ti 2.75
Ru  0.1663  0.7547  0.3348  4 Ge 2.48-2.52, 1 Ti 2.75
Ru  0.4200  0.2547  0.0885  4 Ge 2.48-2.52, 1 Ti 2.75
Ru  0.4200  0.8315  0.6652  4 Ge 2.48-2.52, 1 Ti 2.75
Ru  0.6720  0.1720  0.5000  4 Ge 2.53, 2 Ti 2.83
Ru  0.6720  0.6720  0.0000  4 Ge 2.53, 2 Ti 2.83


[4]
The following is a GGA-PBE calculation of an optimized crystal structure of TmGe2Ru2, from the Materials Project database.

## Properties
Energy of formation from the pure elements ... -0.63 eV per atom
Volume ... 17.80 Å³/atom

Cell lengths 5.7483, 5.7483, 5.7483 Å; angles 136.46, 136.46, 63.27 degrees
With the nearest neighbours (Å) after each atom.
Sites, in units of the cell vectors:
Tm  0.0000  0.0000  0.0000  8 Ru 3.25, 10 Ge 3.27-3.63
Ge  0.3704  0.3704  0.0000  4 Ru 2.44, 1 Ge 2.54
Ge  0.6296  0.6296  0.0000  4 Ru 2.44, 1 Ge 2.54
Ru  0.2500  0.7500  0.5000  4 Ge 2.44
Ru  0.7500  0.2500  0.5000  4 Ge 2.44


[5]
The following is a GGA-PBE calculation of an optimized crystal structure of Tm3Ge13Ru4, from the Materials Project database.

## Properties
Energy of formation from the pure elements ... -0.43 eV per atom
Total moment ... 0.006 μB per cell
Volume ... 18.34 Å³/atom

Cell lengths 9.0191, 9.0191, 9.0191 Å; angles 90.00, 90.00, 90.00 degrees
With the nearest neighbours (Å) after each atom.
Sites, in units of the cell vectors:
Tm  0.0000  0.2500  0.5000  12 Ge 3.15-3.21, 4 Ru 3.19
Tm  0.0000  0.7500  0.5000  12 Ge 3.15-3.21, 4 Ru 3.19
Tm  0.2500  0.5000  0.0000  12 Ge 3.15-3.21, 4 Ru 3.19
Tm  0.5000  0.0000  0.2500  12 Ge 3.15-3.21, 4 Ru 3.19
Tm  0.5000  0.0000  0.7500  12 Ge 3.15-3.21, 4 Ru 3.19
Tm  0.7500  0.5000  0.0000  12 Ge 3.15-3.21, 4 Ru 3.19
Ge  0.0000  0.0000  0.0000  12 Ge 3.07
Ge  0.0000  0.3066  0.1481  2 Ru 2.49, 1 Ge 2.67
Ge  0.0000  0.3066  0.8519  2 Ru 2.49, 1 Ge 2.67
Ge  0.0000  0.6934  0.1481  2 Ru 2.49, 1 Ge 2.67
Ge  0.0000  0.6934  0.8519  2 Ru 2.49, 1 Ge 2.67
Ge  0.1481  0.0000  0.3066  2 Ru 2.49, 1 Ge 2.67
Ge  0.1481  0.0000  0.6934  2 Ru 2.49, 1 Ge 2.67
Ge  0.1934  0.5000  0.3519  2 Ru 2.49, 1 Ge 2.67
Ge  0.1934  0.5000  0.6481  2 Ru 2.49, 1 Ge 2.67
Ge  0.3066  0.1481  0.0000  2 Ru 2.49, 1 Ge 2.67
Ge  0.3066  0.8519  0.0000  2 Ru 2.49, 1 Ge 2.67
Ge  0.3519  0.1934  0.5000  2 Ru 2.49, 1 Ge 2.67
Ge  0.3519  0.8066  0.5000  2 Ru 2.49, 1 Ge 2.67
Ge  0.5000  0.3519  0.1934  2 Ru 2.49, 1 Ge 2.67
Ge  0.5000  0.3519  0.8066  2 Ru 2.49, 1 Ge 2.67
Ge  0.5000  0.5000  0.5000  12 Ge 3.07
Ge  0.5000  0.6481  0.1934  2 Ru 2.49, 1 Ge 2.67
Ge  0.5000  0.6481  0.8066  2 Ru 2.49, 1 Ge 2.67
Ge  0.6481  0.1934  0.5000  2 Ru 2.49, 1 Ge 2.67
Ge  0.6481  0.8066  0.5000  2 Ru 2.49, 1 Ge 2.67
Ge  0.6934  0.1481  0.0000  2 Ru 2.49, 1 Ge 2.67
Ge  0.6934  0.8519  0.0000  2 Ru 2.49, 1 Ge 2.67
Ge  0.8066  0.5000  0.3519  2 Ru 2.49, 1 Ge 2.67
Ge  0.8066  0.5000  0.6481  2 Ru 2.49, 1 Ge 2.67
Ge  0.8519  0.0000  0.3066  2 Ru 2.49, 1 Ge 2.67
Ge  0.8519  0.0000  0.6934  2 Ru 2.49, 1 Ge 2.67
Ru  0.2500  0.2500  0.2500  6 Ge 2.49
Ru  0.2500  0.2500  0.7500  6 Ge 2.49
Ru  0.2500  0.7500  0.2500  6 Ge 2.49
Ru  0.2500  0.7500  0.7500  6 Ge 2.49
Ru  0.7500  0.2500  0.2500  6 Ge 2.49
Ru  0.7500  0.2500  0.7500  6 Ge 2.49
Ru  0.7500  0.7500  0.2500  6 Ge 2.49
Ru  0.7500  0.7500  0.7500  6 Ge 2.49


[6]
The following is a GGA-PBE calculation of an optimized crystal structure of Tm2Ge5Ru3, from the Materials Project database.

## Properties
Energy of formation from the pure elements ... -0.62 eV per atom
Total moment ... 0.003 μB per cell
Volume ... 17.63 Å³/atom

Cell lengths 8.4496, 8.4496, 8.4496 Å; angles 108.84, 84.72, 140.27 degrees
With the nearest neighbours (Å) after each atom.
Sites, in units of the cell vectors:
Tm  0.1392  0.2314  0.3706  9 Ge 2.98-3.31, 4 Ru 3.18
Tm  0.3608  0.7314  0.0922  9 Ge 2.98-3.31, 4 Ru 3.18
Tm  0.6392  0.2686  0.9078  9 Ge 2.98-3.31, 4 Ru 3.18
Tm  0.8608  0.7686  0.6294  9 Ge 2.98-3.31, 4 Ru 3.18
Ge  0.0431  0.7500  0.2931  3 Ru 2.48-2.58, 2 Ge 2.70
Ge  0.0877  0.6762  0.7639  3 Ru 2.40-2.50
Ge  0.2500  0.2500  0.0000  4 Ru 2.51
Ge  0.4123  0.1762  0.5885  3 Ru 2.40-2.50
Ge  0.4569  0.7500  0.7069  3 Ru 2.48-2.58, 2 Ge 2.70
Ge  0.5431  0.2500  0.2931  3 Ru 2.48-2.58, 2 Ge 2.70
Ge  0.5877  0.8238  0.4115  3 Ru 2.40-2.50
Ge  0.7500  0.7500  0.0000  4 Ru 2.51
Ge  0.9123  0.3238  0.2361  3 Ru 2.40-2.50
Ge  0.9569  0.2500  0.7069  3 Ru 2.48-2.58, 2 Ge 2.70
Ru  0.1480  0.9083  0.0563  5 Ge 2.40-2.51
Ru  0.2500  0.7500  0.5000  6 Ge 2.50-2.58
Ru  0.3520  0.4083  0.7603  5 Ge 2.40-2.51
Ru  0.6480  0.5917  0.2397  5 Ge 2.40-2.51
Ru  0.7500  0.2500  0.5000  6 Ge 2.50-2.58
Ru  0.8520  0.0917  0.9437  5 Ge 2.40-2.51


[7]
The following is a GGA-PBE calculation of an optimized crystal structure of Y2Ge2Ru, from the Materials Project database.

## Properties
Energy of formation from the pure elements ... -0.81 eV per atom
Volume ... 21.02 Å³/atom

Cell lengths 5.8308, 5.8308, 10.1985 Å; angles 116.08, 116.08, 43.48 degrees
With the nearest neighbours (Å) after each atom.
Sites, in units of the cell vectors:
Y  0.0009  0.0009  0.3279  6 Ge 2.95-3.16, 4 Ru 3.07-3.18
Y  0.1837  0.1837  0.1094  6 Ge 2.92-3.24
Y  0.8163  0.8163  0.8906  6 Ge 2.92-3.24
Y  0.9991  0.9991  0.6721  6 Ge 2.95-3.16, 4 Ru 3.07-3.18
Ge  0.3534  0.3534  0.4332  3 Ru 2.46-2.53
Ge  0.4896  0.4896  0.1248  1 Ru 2.63, 1 Ge 2.66
Ge  0.5104  0.5104  0.8752  1 Ru 2.63, 1 Ge 2.66
Ge  0.6466  0.6466  0.5668  3 Ru 2.46-2.53
Ru  0.2709  0.2709  0.6274  4 Ge 2.46-2.63
Ru  0.7291  0.7291  0.3726  4 Ge 2.46-2.63


[8]
The following is a GGA-PBE calculation of an optimized crystal structure of Y2Ge5Ru3, from the Materials Project database.

## Properties
Energy of formation from the pure elements ... -0.64 eV per atom
Volume ... 17.98 Å³/atom

Cell lengths 8.4954, 8.4954, 8.4954 Å; angles 108.75, 84.91, 140.11 degrees
With the nearest neighbours (Å) after each atom.
Sites, in units of the cell vectors:
Y  0.1388  0.2312  0.3701  9 Ge 2.98-3.33, 4 Ru 3.20-3.21
Y  0.3612  0.7312  0.0924  9 Ge 2.98-3.33, 4 Ru 3.20-3.21
Y  0.6388  0.2688  0.9076  9 Ge 2.98-3.33, 4 Ru 3.20-3.21
Y  0.8612  0.7688  0.6299  9 Ge 2.98-3.33, 4 Ru 3.20-3.21
Ge  0.0428  0.7500  0.2928  3 Ru 2.50-2.60, 2 Ge 2.72
Ge  0.0875  0.6761  0.7636  3 Ru 2.42-2.52
Ge  0.2500  0.2500  0.0000  4 Ru 2.52
Ge  0.4125  0.1761  0.5886  3 Ru 2.42-2.52
Ge  0.4572  0.7500  0.7072  3 Ru 2.50-2.60, 2 Ge 2.72
Ge  0.5428  0.2500  0.2928  3 Ru 2.50-2.60, 2 Ge 2.72
Ge  0.5875  0.8239  0.4114  3 Ru 2.42-2.52
Ge  0.7500  0.7500  0.0000  4 Ru 2.52
Ge  0.9125  0.3239  0.2364  3 Ru 2.42-2.52
Ge  0.9572  0.2500  0.7072  3 Ru 2.50-2.60, 2 Ge 2.72
Ru  0.1476  0.9086  0.0561  5 Ge 2.42-2.52
Ru  0.2500  0.7500  0.5000  6 Ge 2.52-2.60
Ru  0.3524  0.4086  0.7610  5 Ge 2.42-2.52
Ru  0.6476  0.5914  0.2390  5 Ge 2.42-2.52
Ru  0.7500  0.2500  0.5000  6 Ge 2.52-2.60
Ru  0.8524  0.0914  0.9439  5 Ge 2.42-2.52


- Which of these has the lowest volume?
  TiGeRu


Repeat the first record exactly.
The following is a GGA-PBE calculation of an optimized crystal structure of TbGeRu, from the Materials Project database.

## Properties
Energy of formation from the pure elements ... -0.71 eV per atom
Volume ... 19.07 Å³/atom

Cell lengths 7.0830, 4.4558, 7.2499 Å; angles 90.00, 90.00, 90.00 degrees
With the nearest neighbours (Å) after each atom.
Sites, in units of the cell vectors:
Tb  0.0156  0.2500  0.1913  4 Ru 2.96-3.01, 6 Ge 3.06-3.29
Tb  0.4844  0.7500  0.6913  4 Ru 2.96-3.01, 6 Ge 3.06-3.29
Tb  0.5156  0.2500  0.3087  4 Ru 2.96-3.01, 6 Ge 3.06-3.29
Tb  0.9844  0.7500  0.8087  4 Ru 2.96-3.01, 6 Ge 3.06-3.29
Ge  0.2014  0.2500  0.6065  4 Ru 2.54-2.60
Ge  0.2986  0.7500  0.1065  4 Ru 2.54-2.60
Ge  0.7014  0.2500  0.8935  4 Ru 2.54-2.60
Ge  0.7986  0.7500  0.3935  4 Ru 2.54-2.60
Ru  0.1545  0.7500  0.4357  4 Ge 2.54-2.60
Ru  0.3455  0.2500  0.9357  4 Ge 2.54-2.60
Ru  0.6545  0.7500  0.0643  4 Ge 2.54-2.60
Ru  0.8455  0.2500  0.5643  4 Ge 2.54-2.60


- Which of these has the highest energy of formation from the pure elements?
  Tm3Ge13Ru4


- Among the records above, which one has the lowest volume?
  TiGeRu